No. 1
The following is a PBE calculation of a relaxed structure of NaMgSc3S6O24, from the Materials Project.

Formation enthalpy at 0 K (meV/atom): -2516
VASP energy (eV per cell): -711.21
SG: No. 143

Cell lengths 8.788, 8.788, 22.929 Å; angles 90.00, 90.00, 120.00 degrees
Sites, in units of the cell vectors:
Na: 0.000 0.000 0.998
Na: 0.667 0.333 0.836
Na: 0.667 0.333 0.333
Mg: 0.000 0.000 0.355
Mg: 0.000 0.000 0.852
Mg: 0.667 0.333 0.981
Sc: 0.000 0.000 0.646
Sc: 0.000 0.000 0.149
Sc: 0.667 0.333 0.686
Sc: 0.667 0.333 0.185
Sc: 0.667 0.333 0.480
Sc: 0.333 0.667 0.021
Sc: 0.333 0.667 0.520
Sc: 0.333 0.667 0.312
Sc: 0.333 0.667 0.813
S: 0.289 0.001 0.251
S: 0.712 0.711 0.251
S: 0.999 0.288 0.251
S: 0.289 0.288 0.751
S: 0.999 0.711 0.751
S: 0.712 0.001 0.751
S: 0.957 0.333 0.583
S: 0.376 0.043 0.583
S: 0.667 0.624 0.583
S: 0.955 0.623 0.082
S: 0.668 0.045 0.082
S: 0.377 0.332 0.082
S: 0.627 0.667 0.917
S: 0.039 0.373 0.917
S: 0.333 0.961 0.917
S: 0.627 0.957 0.416
S: 0.330 0.373 0.416
S: 0.043 0.670 0.416
O: 0.209 0.031 0.303
O: 0.821 0.791 0.303
O: 0.969 0.179 0.303
O: 0.210 0.179 0.803
O: 0.969 0.790 0.803
O: 0.821 0.031 0.803
O: 0.791 0.974 0.698
O: 0.183 0.209 0.698
O: 0.026 0.817 0.698
O: 0.791 0.816 0.198
O: 0.026 0.209 0.198
O: 0.184 0.974 0.198
O: 0.876 0.362 0.635
O: 0.487 0.124 0.635
O: 0.638 0.513 0.635
O: 0.876 0.517 0.135
O: 0.641 0.124 0.135
O: 0.483 0.359 0.135
O: 0.457 0.302 0.030
O: 0.846 0.543 0.030
O: 0.698 0.154 0.030
O: 0.458 0.154 0.531
O: 0.696 0.542 0.531
O: 0.846 0.304 0.531
O: 0.543 0.693 0.969
O: 0.150 0.457 0.969
O: 0.307 0.850 0.969
O: 0.542 0.850 0.469
O: 0.308 0.458 0.469
O: 0.150 0.692 0.469
O: 0.124 0.636 0.364
O: 0.513 0.876 0.364
O: 0.364 0.487 0.364
O: 0.123 0.484 0.864
O: 0.360 0.877 0.864
O: 0.516 0.640 0.864
O: 0.024 0.823 0.408
O: 0.799 0.976 0.408
O: 0.177 0.201 0.408
O: 0.024 0.198 0.910
O: 0.174 0.976 0.910
O: 0.802 0.826 0.910
O: 0.975 0.177 0.592
O: 0.202 0.025 0.592
O: 0.823 0.798 0.592
O: 0.976 0.801 0.090
O: 0.825 0.024 0.090
O: 0.199 0.175 0.090
O: 0.691 0.158 0.743
O: 0.468 0.309 0.743
O: 0.842 0.532 0.743
O: 0.691 0.532 0.243
O: 0.841 0.309 0.243
O: 0.468 0.159 0.243
O: 0.643 0.508 0.924
O: 0.865 0.357 0.924
O: 0.492 0.135 0.924
O: 0.642 0.134 0.424
O: 0.492 0.358 0.424
O: 0.866 0.508 0.424
O: 0.357 0.489 0.075
O: 0.131 0.643 0.075
O: 0.511 0.869 0.075
O: 0.358 0.869 0.575
O: 0.510 0.642 0.575
O: 0.131 0.490 0.575
O: 0.309 0.845 0.259
O: 0.536 0.691 0.259
O: 0.155 0.464 0.259
O: 0.309 0.464 0.758
O: 0.155 0.691 0.758
O: 0.536 0.845 0.758

---

No. 2
The following is a PBE calculation of a relaxed structure of Li2Mg, from the Materials Project.

Formation enthalpy at 0 K (meV/atom): -37
VASP energy (eV per cell): -11.06
SG: No. 12

Cell lengths 5.838, 5.838, 7.511 Å; angles 73.58, 73.58, 30.18 degrees
Sites, in units of the cell vectors:
Li: 0.804 0.804 0.639
Li: 0.140 0.140 0.970
Li: 0.860 0.860 0.030
Li: 0.196 0.196 0.361
Mg: 0.527 0.527 0.696
Mg: 0.473 0.473 0.304

---

No. 3
The following is a PBE calculation of a relaxed structure of Al9SiC7N, from the Materials Project.

Formation enthalpy at 0 K (meV/atom): -115
VASP energy (eV per cell): -113.77
SG: No. 156

Cell lengths 3.325, 3.325, 21.805 Å; angles 90.00, 90.00, 120.00 degrees
Sites, in units of the cell vectors:
Al: 0.333 0.667 0.339
Al: 0.333 0.667 0.846
Al: 0.667 0.333 0.235
Al: 0.000 0.000 0.760
Al: 0.333 0.667 0.150
Al: 0.333 0.667 0.655
Al: 0.667 0.333 0.454
Al: 0.000 0.000 0.953
Al: 0.667 0.333 0.045
Si: 0.000 0.000 0.546
C: 0.333 0.667 0.251
C: 0.333 0.667 0.747
C: 0.667 0.333 0.134
C: 0.000 0.000 0.625
C: 0.333 0.667 0.500
C: 0.333 0.667 0.999
C: 0.000 0.000 0.864
N: 0.667 0.333 0.371

---

No. 4
The following is a PBE calculation of a relaxed structure of CeSiNi, from the Materials Project.

Formation enthalpy at 0 K (meV/atom): -745
VASP energy (eV per cell): -38.74
SG: No. 109

Cell lengths 7.579, 7.579, 7.579 Å; angles 149.31, 149.31, 43.95 degrees
Sites, in units of the cell vectors:
Ce: 0.750 0.750 0.000
Ce: 0.500 0.000 0.500
Si: 0.332 0.332 0.000
Si: 0.082 0.582 0.500
Ni: 0.915 0.415 0.500
Ni: 0.165 0.165 0.000